1.
Computed, not measured: a geometry-optimized Rb2LiNd2W4O16 structure at the PBE+U level of DFT.

- Total moment: 1.00 Bohr magnetons per cell
- Space group: C2
- Energy above the most stable polymorph in this dataset: 0.0358 eV/atom
- E: -179.5 eV/cell
- E_form: -63.888 eV per formula unit

Cell: 7.844 7.844 7.505 Å, 63.31 63.31 92.61°
Atoms (fractional coordinates):
W  0.691  0.712  0.789
O  0.577  0.375  0.481
Nd  0.228  0.772  0.750
O  0.965  0.790  0.669
O  0.644  0.759  0.044
Rb  0.786  0.214  0.750
O  0.790  0.966  0.187
Li  0.006  0.994  0.250
O  0.034  0.210  0.313
O  0.063  0.375  0.866
O  0.625  0.423  0.019
W  0.308  0.292  0.208
O  0.930  0.618  0.137
O  0.763  0.648  0.543
O  0.210  0.035  0.831
Nd  0.756  0.244  0.250
O  0.373  0.581  0.973
O  0.241  0.356  0.456
O  0.419  0.627  0.527
O  0.382  0.070  0.363
Rb  0.245  0.755  0.250
W  0.288  0.309  0.711
W  0.708  0.692  0.292
O  0.625  0.937  0.634
O  0.352  0.237  0.957

2.
Computed, not measured: a geometry-optimized Rb2LiNd2W4O16 structure at the PBE+U level of DFT.

- Total moment: 1.00 Bohr magnetons per cell
- Space group: P1
- Energy above the most stable polymorph in this dataset: 0.0000 eV/atom
- E: -180.4 eV/cell
- E_form: -64.782 eV per formula unit

Cell: 7.597 8.101 7.580 Å, 62.64 62.53 88.34°
Atoms (fractional coordinates):
O  0.624  0.411  0.028
O  0.400  0.614  0.542
O  0.233  0.385  0.442
Rb  0.774  0.155  0.771
O  0.374  0.089  0.360
Nd  0.239  0.794  0.736
O  0.635  0.735  0.067
W  0.304  0.317  0.213
Nd  0.754  0.205  0.256
Li  0.992  0.526  0.630
O  0.766  0.616  0.553
O  0.750  0.935  0.213
W  0.709  0.680  0.300
O  0.040  0.343  0.867
O  0.359  0.585  0.978
O  0.249  0.068  0.783
O  0.962  0.657  0.122
O  0.039  0.229  0.305
O  0.618  0.921  0.640
O  0.974  0.740  0.686
O  0.371  0.264  0.936
W  0.683  0.696  0.801
W  0.307  0.318  0.708
O  0.597  0.378  0.459
Rb  0.247  0.850  0.198

- Which of these has the highest energy above the most stable polymorph in this dataset?
  number 1